A relaxed structure of KMo12S14, computed with PBE-GGA.

a = 9.280 Å, b = 9.280 Å, c = 16.482 Å
α = 90.00°, β = 90.00°, γ = 120.00°
Fractional coordinates of all 54 atoms:
K (0.333, 0.667, 0.250)
K (0.667, 0.333, 0.750)
Mo (0.158, 0.505, 0.542)
Mo (0.158, 0.653, 0.958)
Mo (0.166, 0.497, 0.816)
Mo (0.166, 0.669, 0.684)
Mo (0.331, 0.497, 0.684)
Mo (0.331, 0.834, 0.816)
Mo (0.347, 0.505, 0.958)
Mo (0.347, 0.842, 0.542)
Mo (0.495, 0.653, 0.542)
Mo (0.495, 0.842, 0.958)
Mo (0.497, 0.166, 0.316)
Mo (0.497, 0.331, 0.184)
Mo (0.503, 0.669, 0.816)
Mo (0.503, 0.834, 0.684)
Mo (0.505, 0.158, 0.042)
Mo (0.505, 0.347, 0.458)
Mo (0.653, 0.158, 0.458)
Mo (0.653, 0.495, 0.042)
Mo (0.669, 0.166, 0.184)
Mo (0.669, 0.503, 0.316)
Mo (0.834, 0.331, 0.316)
Mo (0.834, 0.503, 0.184)
Mo (0.842, 0.347, 0.042)
Mo (0.842, 0.495, 0.458)
S (0.023, 0.362, 0.681)
S (0.023, 0.661, 0.819)
S (0.042, 0.352, 0.943)
S (0.042, 0.691, 0.557)
S (0.309, 0.352, 0.557)
S (0.309, 0.958, 0.943)
S (0.333, 0.667, 0.068)
S (0.333, 0.667, 0.432)
S (0.339, 0.362, 0.819)
S (0.339, 0.977, 0.681)
S (0.352, 0.042, 0.443)
S (0.352, 0.309, 0.057)
S (0.362, 0.023, 0.181)
S (0.362, 0.339, 0.319)
S (0.638, 0.661, 0.681)
S (0.638, 0.977, 0.819)
S (0.648, 0.691, 0.943)
S (0.648, 0.958, 0.557)
S (0.661, 0.023, 0.319)
S (0.661, 0.638, 0.181)
S (0.667, 0.333, 0.568)
S (0.667, 0.333, 0.932)
S (0.691, 0.042, 0.057)
S (0.691, 0.648, 0.443)
S (0.958, 0.309, 0.443)
S (0.958, 0.648, 0.057)
S (0.977, 0.339, 0.181)
S (0.977, 0.638, 0.319)

Results
Corrected total energy (MP2020 scheme), eV per cell: -428.91
ΔE_f, eV/atom: -0.937
Crystal system: trigonal
SG: No. 163

A relaxed structure of KMo6S7, computed with PBE-GGA.

a = 10.578 Å, b = 17.544 Å, c = 12.590 Å
α = 90.00°, β = 92.06°, γ = 90.00°
Fractional coordinates of all 112 atoms:
K (0.000, 0.010, 0.000)
K (0.000, 0.990, 0.500)
K (0.092, 0.357, 0.053)
K (0.092, 0.643, 0.553)
K (0.433, 0.133, 0.540)
K (0.433, 0.867, 0.040)
K (0.512, 0.481, 0.065)
K (0.512, 0.519, 0.565)
Mo (0.082, 0.413, 0.651)
Mo (0.082, 0.587, 0.151)
Mo (0.083, 0.465, 0.303)
Mo (0.083, 0.535, 0.803)
Mo (0.096, 0.243, 0.641)
Mo (0.096, 0.757, 0.141)
Mo (0.161, 0.234, 0.300)
Mo (0.161, 0.766, 0.800)
Mo (0.207, 0.321, 0.489)
Mo (0.207, 0.679, 0.989)
Mo (0.258, 0.327, 0.804)
Mo (0.258, 0.673, 0.304)
Mo (0.287, 0.164, 0.780)
Mo (0.287, 0.836, 0.280)
Mo (0.363, 0.169, 0.130)
Mo (0.363, 0.831, 0.630)
Mo (0.385, 0.276, 0.302)
Mo (0.385, 0.724, 0.802)
Mo (0.429, 0.246, 0.957)
Mo (0.429, 0.754, 0.457)
Mo (0.459, 0.092, 0.962)
Mo (0.459, 0.908, 0.462)
Mo (0.475, 0.031, 0.311)
Mo (0.475, 0.969, 0.811)
Mo (0.591, 0.247, 0.158)
Mo (0.591, 0.753, 0.658)
Mo (0.599, 0.084, 0.141)
Mo (0.599, 0.916, 0.641)
Mo (0.620, 0.295, 0.766)
Mo (0.620, 0.705, 0.266)
Mo (0.652, 0.055, 0.803)
Mo (0.652, 0.945, 0.303)
Mo (0.672, 0.260, 0.390)
Mo (0.672, 0.740, 0.890)
Mo (0.695, 0.172, 0.988)
Mo (0.695, 0.828, 0.488)
Mo (0.807, 0.277, 0.857)
Mo (0.807, 0.723, 0.357)
Mo (0.847, 0.258, 0.224)
Mo (0.847, 0.742, 0.724)
Mo (0.851, 0.321, 0.635)
Mo (0.851, 0.679, 0.135)
Mo (0.886, 0.444, 0.806)
Mo (0.886, 0.556, 0.306)
Mo (0.951, 0.258, 0.445)
Mo (0.951, 0.742, 0.945)
Mo (0.958, 0.415, 0.470)
Mo (0.958, 0.585, 0.970)
S (0.010, 0.338, 0.296)
S (0.010, 0.662, 0.796)
S (0.017, 0.330, 0.794)
S (0.017, 0.670, 0.294)
S (0.126, 0.109, 0.686)
S (0.126, 0.891, 0.186)
S (0.137, 0.177, 0.463)
S (0.137, 0.823, 0.963)
S (0.150, 0.143, 0.172)
S (0.150, 0.857, 0.672)
S (0.181, 0.457, 0.490)
S (0.181, 0.543, 0.990)
S (0.210, 0.227, 0.925)
S (0.210, 0.773, 0.425)
S (0.261, 0.463, 0.760)
S (0.261, 0.537, 0.260)
S (0.287, 0.036, 0.863)
S (0.287, 0.964, 0.363)
S (0.325, 0.272, 0.649)
S (0.325, 0.728, 0.149)
S (0.381, 0.033, 0.126)
S (0.381, 0.967, 0.626)
S (0.398, 0.318, 0.123)
S (0.398, 0.682, 0.623)
S (0.423, 0.360, 0.433)
S (0.423, 0.640, 0.933)
S (0.474, 0.365, 0.870)
S (0.474, 0.635, 0.370)
S (0.516, 0.168, 0.799)
S (0.516, 0.832, 0.299)
S (0.530, 0.167, 0.307)
S (0.530, 0.833, 0.807)
S (0.628, 0.001, 0.471)
S (0.628, 0.999, 0.971)
S (0.640, 0.267, 0.577)
S (0.640, 0.733, 0.077)
S (0.690, 0.352, 0.260)
S (0.690, 0.648, 0.760)
S (0.702, 0.415, 0.695)
S (0.702, 0.585, 0.195)
S (0.745, 0.307, 0.037)
S (0.745, 0.693, 0.537)
S (0.772, 0.488, 0.428)
S (0.772, 0.512, 0.928)
S (0.786, 0.016, 0.206)
S (0.786, 0.984, 0.706)
S (0.823, 0.165, 0.355)
S (0.823, 0.835, 0.855)
S (0.838, 0.142, 0.846)
S (0.838, 0.858, 0.346)
S (0.884, 0.163, 0.094)
S (0.884, 0.837, 0.594)
S (0.890, 0.192, 0.603)
S (0.890, 0.808, 0.103)
S (0.936, 0.485, 0.155)
S (0.936, 0.515, 0.655)

Results
Corrected total energy (MP2020 scheme), eV per cell: -835.15
ΔE_f, eV/atom: -0.661
Crystal system: monoclinic
SG: No. 7

A relaxed structure of K9Mo48S56, computed with PBE-GGA.

a = 10.572 Å, b = 10.572 Å, c = 24.160 Å
α = 90.00°, β = 90.00°, γ = 120.00°
Fractional coordinates of all 113 atoms:
K (0.000, 0.000, 0.000)
K (0.000, 0.000, 0.204)
K (0.000, 0.000, 0.407)
K (0.000, 0.000, 0.593)
K (0.000, 0.000, 0.796)
K (0.333, 0.667, 0.362)
K (0.333, 0.667, 0.903)
K (0.667, 0.333, 0.097)
K (0.667, 0.333, 0.638)
Mo (0.000, 0.490, 0.286)
Mo (0.000, 0.510, 0.714)
Mo (0.007, 0.458, 0.058)
Mo (0.072, 0.459, 0.478)
Mo (0.138, 0.710, 0.794)
Mo (0.142, 0.515, 0.172)
Mo (0.197, 0.692, 0.572)
Mo (0.207, 0.723, 0.079)
Mo (0.238, 0.494, 0.681)
Mo (0.257, 0.762, 0.681)
Mo (0.277, 0.485, 0.079)
Mo (0.290, 0.428, 0.794)
Mo (0.308, 0.504, 0.572)
Mo (0.373, 0.858, 0.172)
Mo (0.387, 0.928, 0.478)
Mo (0.428, 0.138, 0.206)
Mo (0.451, 0.993, 0.058)
Mo (0.458, 0.451, 0.942)
Mo (0.459, 0.387, 0.522)
Mo (0.485, 0.207, 0.921)
Mo (0.485, 0.627, 0.172)
Mo (0.490, 0.000, 0.286)
Mo (0.490, 0.490, 0.714)
Mo (0.494, 0.257, 0.319)
Mo (0.496, 0.803, 0.572)
Mo (0.504, 0.197, 0.428)
Mo (0.506, 0.743, 0.681)
Mo (0.510, 0.000, 0.714)
Mo (0.510, 0.510, 0.286)
Mo (0.515, 0.373, 0.828)
Mo (0.515, 0.793, 0.079)
Mo (0.541, 0.613, 0.478)
Mo (0.542, 0.549, 0.058)
Mo (0.549, 0.007, 0.942)
Mo (0.572, 0.862, 0.794)
Mo (0.613, 0.072, 0.522)
Mo (0.627, 0.142, 0.828)
Mo (0.692, 0.496, 0.428)
Mo (0.710, 0.572, 0.206)
Mo (0.723, 0.515, 0.921)
Mo (0.743, 0.238, 0.319)
Mo (0.762, 0.506, 0.319)
Mo (0.793, 0.277, 0.921)
Mo (0.803, 0.308, 0.428)
Mo (0.858, 0.485, 0.828)
Mo (0.862, 0.290, 0.206)
Mo (0.928, 0.541, 0.522)
Mo (0.993, 0.542, 0.942)
S (0.011, 0.685, 0.639)
S (0.019, 0.339, 0.974)
S (0.036, 0.286, 0.118)
S (0.052, 0.316, 0.741)
S (0.055, 0.440, 0.603)
S (0.075, 0.487, 0.850)
S (0.085, 0.340, 0.245)
S (0.107, 0.799, 0.508)
S (0.201, 0.308, 0.508)
S (0.250, 0.964, 0.118)
S (0.255, 0.915, 0.245)
S (0.265, 0.948, 0.741)
S (0.286, 0.250, 0.882)
S (0.308, 0.107, 0.492)
S (0.315, 0.326, 0.639)
S (0.316, 0.265, 0.259)
S (0.320, 0.981, 0.974)
S (0.326, 0.011, 0.361)
S (0.333, 0.667, 0.013)
S (0.333, 0.667, 0.236)
S (0.333, 0.667, 0.482)
S (0.333, 0.667, 0.763)
S (0.339, 0.320, 0.026)
S (0.340, 0.255, 0.755)
S (0.386, 0.945, 0.603)
S (0.412, 0.925, 0.850)
S (0.440, 0.386, 0.397)
S (0.487, 0.412, 0.150)
S (0.513, 0.588, 0.850)
S (0.560, 0.614, 0.603)
S (0.588, 0.075, 0.150)
S (0.614, 0.055, 0.397)
S (0.660, 0.745, 0.245)
S (0.661, 0.680, 0.974)
S (0.667, 0.333, 0.237)
S (0.667, 0.333, 0.518)
S (0.667, 0.333, 0.764)
S (0.667, 0.333, 0.987)
S (0.674, 0.989, 0.639)
S (0.680, 0.019, 0.026)
S (0.684, 0.735, 0.741)
S (0.685, 0.674, 0.361)
S (0.692, 0.893, 0.508)
S (0.714, 0.750, 0.118)
S (0.735, 0.052, 0.259)
S (0.745, 0.085, 0.755)
S (0.750, 0.036, 0.882)
S (0.799, 0.692, 0.492)
S (0.893, 0.201, 0.492)
S (0.915, 0.660, 0.755)
S (0.925, 0.513, 0.150)
S (0.945, 0.560, 0.397)
S (0.948, 0.684, 0.259)
S (0.964, 0.714, 0.882)
S (0.981, 0.661, 0.026)
S (0.989, 0.315, 0.361)

Results
Corrected total energy (MP2020 scheme), eV per cell: -829.03
ΔE_f, eV/atom: -0.591
Crystal system: trigonal
SG: No. 147

A relaxed structure of K2Mo9S11, computed with PBE-GGA.

a = 13.227 Å, b = 13.227 Å, c = 13.227 Å
α = 41.66°, β = 41.66°, γ = 41.66°
Fractional coordinates of all 44 atoms:
K (0.054, 0.054, 0.054)
K (0.446, 0.446, 0.446)
K (0.554, 0.554, 0.554)
K (0.946, 0.946, 0.946)
Mo (0.028, 0.356, 0.177)
Mo (0.082, 0.250, 0.418)
Mo (0.144, 0.472, 0.323)
Mo (0.177, 0.028, 0.356)
Mo (0.250, 0.418, 0.082)
Mo (0.323, 0.144, 0.472)
Mo (0.356, 0.177, 0.028)
Mo (0.418, 0.082, 0.250)
Mo (0.472, 0.323, 0.144)
Mo (0.528, 0.677, 0.856)
Mo (0.582, 0.918, 0.750)
Mo (0.644, 0.823, 0.972)
Mo (0.677, 0.856, 0.528)
Mo (0.750, 0.582, 0.918)
Mo (0.823, 0.972, 0.644)
Mo (0.856, 0.528, 0.677)
Mo (0.918, 0.750, 0.582)
Mo (0.972, 0.644, 0.823)
S (0.017, 0.286, 0.621)
S (0.053, 0.447, 0.750)
S (0.121, 0.786, 0.517)
S (0.136, 0.136, 0.136)
S (0.214, 0.483, 0.879)
S (0.250, 0.947, 0.553)
S (0.286, 0.621, 0.017)
S (0.364, 0.364, 0.364)
S (0.379, 0.983, 0.714)
S (0.447, 0.750, 0.053)
S (0.483, 0.879, 0.214)
S (0.517, 0.121, 0.786)
S (0.553, 0.250, 0.947)
S (0.621, 0.017, 0.286)
S (0.636, 0.636, 0.636)
S (0.714, 0.379, 0.983)
S (0.750, 0.053, 0.447)
S (0.786, 0.517, 0.121)
S (0.864, 0.864, 0.864)
S (0.879, 0.214, 0.483)
S (0.947, 0.553, 0.250)
S (0.983, 0.714, 0.379)

Results
Corrected total energy (MP2020 scheme), eV per cell: -336.14
ΔE_f, eV/atom: -1.034
Crystal system: trigonal
SG: No. 167

A relaxed structure of K5Mo24S28, computed with PBE-GGA.

a = 9.678 Å, b = 9.678 Å, c = 14.587 Å
α = 90.00°, β = 90.00°, γ = 120.00°
Fractional coordinates of all 57 atoms:
K (0.000, 0.000, 0.000)
K (0.000, 0.000, 0.307)
K (0.000, 0.000, 0.693)
K (0.333, 0.667, 0.746)
K (0.667, 0.333, 0.254)
Mo (0.055, 0.602, 0.548)
Mo (0.105, 0.635, 0.948)
Mo (0.146, 0.630, 0.153)
Mo (0.205, 0.490, 0.315)
Mo (0.285, 0.795, 0.315)
Mo (0.365, 0.470, 0.948)
Mo (0.370, 0.516, 0.153)
Mo (0.398, 0.453, 0.548)
Mo (0.453, 0.055, 0.452)
Mo (0.470, 0.105, 0.052)
Mo (0.484, 0.854, 0.153)
Mo (0.490, 0.285, 0.685)
Mo (0.510, 0.715, 0.315)
Mo (0.516, 0.146, 0.847)
Mo (0.530, 0.895, 0.948)
Mo (0.547, 0.945, 0.548)
Mo (0.602, 0.547, 0.452)
Mo (0.630, 0.484, 0.847)
Mo (0.635, 0.530, 0.052)
Mo (0.715, 0.205, 0.685)
Mo (0.795, 0.510, 0.685)
Mo (0.854, 0.370, 0.847)
Mo (0.895, 0.365, 0.052)
Mo (0.945, 0.398, 0.452)
S (0.008, 0.578, 0.306)
S (0.069, 0.374, 0.936)
S (0.075, 0.346, 0.171)
S (0.141, 0.318, 0.445)
S (0.177, 0.859, 0.445)
S (0.272, 0.925, 0.171)
S (0.305, 0.931, 0.936)
S (0.318, 0.177, 0.555)
S (0.333, 0.667, 0.030)
S (0.333, 0.667, 0.544)
S (0.346, 0.272, 0.829)
S (0.374, 0.305, 0.064)
S (0.422, 0.431, 0.306)
S (0.431, 0.008, 0.694)
S (0.569, 0.992, 0.306)
S (0.578, 0.569, 0.694)
S (0.626, 0.695, 0.936)
S (0.654, 0.728, 0.171)
S (0.667, 0.333, 0.456)
S (0.667, 0.333, 0.970)
S (0.682, 0.823, 0.445)
S (0.695, 0.069, 0.064)
S (0.728, 0.075, 0.829)
S (0.823, 0.141, 0.555)
S (0.859, 0.682, 0.555)
S (0.925, 0.654, 0.829)
S (0.931, 0.626, 0.064)
S (0.992, 0.422, 0.694)

Results
Corrected total energy (MP2020 scheme), eV per cell: -425.49
ΔE_f, eV/atom: -0.769
Crystal system: trigonal
SG: No. 147

A relaxed structure of KMo6S8, computed with PBE-GGA.

a = 6.651 Å, b = 6.651 Å, c = 6.651 Å
α = 88.94°, β = 88.94°, γ = 88.94°
Fractional coordinates of all 15 atoms:
K (0.000, 0.000, 0.000)
Mo (0.227, 0.409, 0.562)
Mo (0.409, 0.562, 0.227)
Mo (0.438, 0.773, 0.591)
Mo (0.562, 0.227, 0.409)
Mo (0.591, 0.438, 0.773)
Mo (0.773, 0.591, 0.438)
S (0.125, 0.732, 0.399)
S (0.245, 0.245, 0.245)
S (0.268, 0.601, 0.875)
S (0.399, 0.125, 0.732)
S (0.601, 0.875, 0.268)
S (0.732, 0.399, 0.125)
S (0.755, 0.755, 0.755)
S (0.875, 0.268, 0.601)

Results
Corrected total energy (MP2020 scheme), eV per cell: -114.73
ΔE_f, eV/atom: -1.030
Crystal system: trigonal
SG: No. 148

What is the ΔE_f in the first record? -0.937 eV/atom

Look up the corrected total energy (MP2020 scheme) of the third one. -829.03 eV per cell